# 1
! MgBiF6 | Materials Project | PBE-GGA | relaxed; values from VASP
! space group = R-3
! ΔE_f = -2912 meV per atom
&SYSTEM
  ibrav = 0, nat = 8, ntyp = 3
/
ATOMIC_SPECIES
Mg 24.30 Mg.upf
Bi 208.98 Bi.upf
F 19.00 F.upf
CELL_PARAMETERS angstrom
2.8101 1.6224 4.7931
-2.8101 1.6224 4.7931
0.0000 -3.2448 4.7931
ATOMIC_POSITIONS crystal
Mg 0.0000 0.0000 0.0000
Bi 0.5000 0.5000 0.5000
F 0.1438 0.3356 0.7589
F 0.2411 0.8562 0.6644
F 0.3356 0.7589 0.1438
F 0.6644 0.2411 0.8562
F 0.7589 0.1438 0.3356
F 0.8562 0.6644 0.2411


# 2
! Bi3NF6 | Materials Project | PBE-GGA | relaxed; values from VASP
! size of the total moment = 0.000 μB per formula unit
! space group = Pbcm
! ΔE_f = -2153 meV per atom
&SYSTEM
  ibrav = 0, nat = 40, ntyp = 3
/
ATOMIC_SPECIES
Bi 208.98 Bi.upf
N 14.01 N.upf
F 19.00 F.upf
CELL_PARAMETERS angstrom
5.8252 0.0000 0.0000
0.0000 5.8074 0.0000
0.0000 0.0000 18.8248
ATOMIC_POSITIONS crystal
Bi 0.2033 0.0126 0.0684
Bi 0.2033 0.0126 0.4316
Bi 0.2033 0.4874 0.5684
Bi 0.2033 0.4874 0.9316
Bi 0.2815 0.0257 0.7500
Bi 0.2815 0.4743 0.2500
Bi 0.7185 0.5257 0.7500
Bi 0.7185 0.9743 0.2500
Bi 0.7967 0.5126 0.0684
Bi 0.7967 0.5126 0.4316
Bi 0.7967 0.9874 0.5684
Bi 0.7967 0.9874 0.9316
N 0.0166 0.7500 0.0000
N 0.0166 0.7500 0.5000
N 0.9834 0.2500 0.0000
N 0.9834 0.2500 0.5000
F 0.0930 0.1307 0.2500
F 0.0930 0.3693 0.7500
F 0.1247 0.0564 0.6288
F 0.1247 0.0564 0.8712
F 0.1247 0.4436 0.1288
F 0.1247 0.4436 0.3712
F 0.4624 0.7361 0.6785
F 0.4624 0.7361 0.8215
F 0.4624 0.7639 0.1785
F 0.4624 0.7639 0.3215
F 0.4884 0.2500 0.0000
F 0.4884 0.2500 0.5000
F 0.5116 0.7500 0.0000
F 0.5116 0.7500 0.5000
F 0.5376 0.2361 0.6785
F 0.5376 0.2361 0.8215
F 0.5376 0.2639 0.1785
F 0.5376 0.2639 0.3215
F 0.8753 0.5564 0.6288
F 0.8753 0.5564 0.8712
F 0.8753 0.9436 0.1288
F 0.8753 0.9436 0.3712
F 0.9070 0.6307 0.2500
F 0.9070 0.8693 0.7500


# 3
! Bi3O4F | Materials Project | PBE-GGA | relaxed; values from VASP
! size of the total moment = 0.000 μB per formula unit
! ΔE to the lowest computed polymorph = 0.000 eV per atom
! space group = P2/c
! ΔE_f = -1836 meV per atom
&SYSTEM
  ibrav = 0, nat = 16, ntyp = 3
/
ATOMIC_SPECIES
Bi 208.98 Bi.upf
O 16.00 O.upf
F 19.00 F.upf
CELL_PARAMETERS angstrom
9.0889 0.0000 0.0000
0.0000 5.8541 0.0000
-0.9087 0.0000 5.6934
ATOMIC_POSITIONS crystal
Bi 0.0000 0.1970 0.2500
Bi 0.0000 0.8030 0.7500
Bi 0.3069 0.2996 0.8619
Bi 0.3069 0.7004 0.3619
Bi 0.6931 0.2996 0.6381
Bi 0.6931 0.7004 0.1381
O 0.1379 0.0758 0.9584
O 0.1379 0.9242 0.4584
O 0.1996 0.4376 0.5285
O 0.1996 0.5624 0.0285
O 0.8004 0.4376 0.9715
O 0.8004 0.5624 0.4715
O 0.8621 0.0758 0.5416
O 0.8621 0.9242 0.0416
F 0.5000 0.3774 0.2500
F 0.5000 0.6226 0.7500


# 4
! Bi3O4F | Materials Project | PBE-GGA | relaxed; values from VASP
! size of the total moment = 0.000 μB per formula unit
! ΔE to the lowest computed polymorph = 0.050 eV per atom
! space group = Cmcm
! ΔE_f = -1786 meV per atom
&SYSTEM
  ibrav = 0, nat = 16, ntyp = 3
/
ATOMIC_SPECIES
Bi 208.98 Bi.upf
O 16.00 O.upf
F 19.00 F.upf
CELL_PARAMETERS angstrom
2.0334 -6.3003 0.0000
2.0334 6.3003 0.0000
0.0000 0.0000 11.5731
ATOMIC_POSITIONS crystal
Bi 0.1333 0.8667 0.5931
Bi 0.1333 0.8667 0.9069
Bi 0.1692 0.8308 0.2500
Bi 0.8308 0.1692 0.7500
Bi 0.8667 0.1333 0.0931
Bi 0.8667 0.1333 0.4069
O 0.0386 0.9614 0.7500
O 0.2532 0.7468 0.7500
O 0.2756 0.7244 0.0983
O 0.2756 0.7244 0.4017
O 0.7244 0.2756 0.5983
O 0.7244 0.2756 0.9017
O 0.7468 0.2532 0.2500
O 0.9614 0.0386 0.2500
F 0.5000 0.5000 0.0000
F 0.5000 0.5000 0.5000


# 5
! Bi5O7F | Materials Project | PBE-GGA | relaxed; values from VASP
! size of the total moment = 0.001 μB per formula unit
! ΔE to the lowest computed polymorph = 0.000 eV per atom
! space group = Ibca
! ΔE_f = -1716 meV per atom
&SYSTEM
  ibrav = 0, nat = 52, ntyp = 3
/
ATOMIC_SPECIES
Bi 208.98 Bi.upf
O 16.00 O.upf
F 19.00 F.upf
CELL_PARAMETERS angstrom
-2.6381 8.0069 11.9938
2.6381 -8.0069 11.9938
2.6381 8.0069 -11.9938
ATOMIC_POSITIONS crystal
Bi 0.0157 0.4683 0.6112
Bi 0.0514 0.3014 0.7500
Bi 0.1126 0.2035 0.9310
Bi 0.1429 0.0317 0.0475
Bi 0.2275 0.8184 0.4310
Bi 0.2725 0.7035 0.5909
Bi 0.3571 0.4046 0.8888
Bi 0.3874 0.3184 0.0909
Bi 0.4486 0.1986 0.2500
Bi 0.4843 0.0954 0.4525
Bi 0.5157 0.9046 0.5475
Bi 0.5514 0.8014 0.7500
Bi 0.6126 0.6816 0.9091
Bi 0.6429 0.5954 0.1112
Bi 0.7275 0.2965 0.4091
Bi 0.7725 0.1816 0.5690
Bi 0.8571 0.9683 0.9525
Bi 0.8874 0.7965 0.0690
Bi 0.9486 0.6986 0.2500
Bi 0.9843 0.5317 0.3888
O 0.0028 0.1242 0.0230
O 0.0825 0.4953 0.0793
O 0.0819 0.5985 0.3789
O 0.0840 0.9969 0.5793
O 0.1011 0.6242 0.6214
O 0.2196 0.0985 0.0167
O 0.2500 0.4890 0.2390
O 0.2500 0.9890 0.7390
O 0.2804 0.2971 0.8789
O 0.3989 0.0203 0.5230
O 0.4160 0.9953 0.9129
O 0.4175 0.4969 0.4129
O 0.4181 0.7971 0.5167
O 0.4972 0.5203 0.1214
O 0.5028 0.4797 0.8786
O 0.5819 0.2029 0.4833
O 0.5825 0.5031 0.5871
O 0.5840 0.0047 0.0871
O 0.6011 0.9797 0.4770
O 0.7196 0.7029 0.1211
O 0.7500 0.0110 0.2610
O 0.7500 0.5110 0.7610
O 0.7804 0.9015 0.9833
O 0.8989 0.3758 0.3786
O 0.9160 0.0031 0.4207
O 0.9181 0.4015 0.6211
O 0.9175 0.5047 0.9207
O 0.9972 0.8758 0.9770
F 0.0969 0.8469 0.2500
F 0.4031 0.6531 0.7500
F 0.5969 0.3469 0.2500
F 0.9031 0.1531 0.7500


# 6
! Bi4O5F2 | Materials Project | PBE-GGA | relaxed; values from VASP
! size of the total moment = 0.000 μB per formula unit
! ΔE to the lowest computed polymorph = 0.000 eV per atom
! space group = P2_1
! ΔE_f = -1905 meV per atom
&SYSTEM
  ibrav = 0, nat = 44, ntyp = 3
/
ATOMIC_SPECIES
Bi 208.98 Bi.upf
O 16.00 O.upf
F 19.00 F.upf
CELL_PARAMETERS angstrom
10.6679 0.0000 0.0000
0.0000 5.6213 0.0000
-1.8458 0.0000 14.1092
ATOMIC_POSITIONS crystal
Bi 0.0659 0.0000 0.2263
Bi 0.1110 0.9968 0.9644
Bi 0.1697 0.1016 0.6859
Bi 0.2209 0.5312 0.3842
Bi 0.2417 0.5139 0.1167
Bi 0.3097 0.5996 0.8326
Bi 0.4135 0.0509 0.2924
Bi 0.4170 0.0644 0.5514
Bi 0.5830 0.5644 0.4486
Bi 0.5865 0.5509 0.7076
Bi 0.6903 0.0996 0.1674
Bi 0.7583 0.0139 0.8833
Bi 0.7791 0.0312 0.6158
Bi 0.8303 0.6016 0.3141
Bi 0.8890 0.4968 0.0356
Bi 0.9341 0.5000 0.7737
O 0.0288 0.6600 0.3171
O 0.0691 0.2924 0.0860
O 0.0774 0.7895 0.0961
O 0.1536 0.8143 0.7796
O 0.1815 0.3125 0.8104
O 0.2374 0.6575 0.9652
O 0.2387 0.2931 0.2650
O 0.2513 0.7992 0.2620
O 0.4230 0.8177 0.4203
O 0.4241 0.3076 0.4167
O 0.5759 0.8076 0.5833
O 0.5770 0.3177 0.5797
O 0.7487 0.2992 0.7380
O 0.7613 0.7931 0.7350
O 0.7626 0.1575 0.0348
O 0.8185 0.8125 0.1896
O 0.8464 0.3143 0.2204
O 0.9226 0.2895 0.9039
O 0.9309 0.7924 0.9140
O 0.9712 0.1600 0.6829
F 0.1658 0.1639 0.4439
F 0.3222 0.1397 0.0800
F 0.3370 0.5575 0.6529
F 0.4225 0.0746 0.7257
F 0.5775 0.5746 0.2743
F 0.6630 0.0575 0.3471
F 0.6778 0.6397 0.9200
F 0.8342 0.6639 0.5561


# 7
! Bi3O4F | Materials Project | PBE-GGA | relaxed; values from VASP
! size of the total moment = 0.000 μB per formula unit
! ΔE to the lowest computed polymorph = 0.015 eV per atom
! space group = C2
! ΔE_f = -1821 meV per atom
&SYSTEM
  ibrav = 0, nat = 16, ntyp = 3
/
ATOMIC_SPECIES
Bi 208.98 Bi.upf
O 16.00 O.upf
F 19.00 F.upf
CELL_PARAMETERS angstrom
8.7613 -2.9049 0.0000
8.7613 2.9049 0.0000
-0.8951 0.0000 5.7630
ATOMIC_POSITIONS crystal
Bi 0.0000 0.0000 0.0000
Bi 0.2432 0.0687 0.5266
Bi 0.3466 0.3421 0.9721
Bi 0.5878 0.4122 0.5000
Bi 0.6579 0.6534 0.0279
Bi 0.9313 0.7568 0.4734
O 0.1384 0.6601 0.1913
O 0.2468 0.5543 0.6944
O 0.3399 0.8616 0.8087
O 0.4457 0.7532 0.3056
O 0.6546 0.2012 0.1534
O 0.7876 0.0676 0.6525
O 0.7988 0.3454 0.8466
O 0.9324 0.2124 0.3475
F 0.2851 0.2139 0.2491
F 0.7861 0.7149 0.7509


# 8
! Bi5O7F | Materials Project | PBE-GGA | relaxed; values from VASP
! size of the total moment = 0.000 μB per formula unit
! ΔE to the lowest computed polymorph = 0.014 eV per atom
! space group = P2_1/c
! ΔE_f = -1702 meV per atom
&SYSTEM
  ibrav = 0, nat = 52, ntyp = 3
/
ATOMIC_SPECIES
Bi 208.98 Bi.upf
O 16.00 O.upf
F 19.00 F.upf
CELL_PARAMETERS angstrom
6.9217 0.0000 0.0000
0.0000 12.5254 0.0000
-6.3611 0.0000 11.9016
ATOMIC_POSITIONS crystal
Bi 0.0089 0.2494 0.4298
Bi 0.0089 0.2506 0.9298
Bi 0.3146 0.0220 0.5831
Bi 0.3146 0.4780 0.0831
Bi 0.3276 0.7348 0.4194
Bi 0.3276 0.7652 0.9194
Bi 0.3506 0.2226 0.2666
Bi 0.3506 0.2774 0.7666
Bi 0.3759 0.0096 0.1085
Bi 0.3759 0.4904 0.6085
Bi 0.6241 0.5096 0.3915
Bi 0.6241 0.9904 0.8915
Bi 0.6494 0.7226 0.2334
Bi 0.6494 0.7774 0.7334
Bi 0.6724 0.2348 0.0806
Bi 0.6724 0.2652 0.5806
Bi 0.6854 0.5220 0.9169
Bi 0.6854 0.9780 0.4169
Bi 0.9911 0.7494 0.0702
Bi 0.9911 0.7506 0.5702
O 0.0000 0.1049 0.5072
O 0.0000 0.3951 0.0072
O 0.0000 0.6049 0.9928
O 0.0000 0.8951 0.4928
O 0.1160 0.1561 0.0762
O 0.1160 0.3439 0.5762
O 0.3225 0.7418 0.5819
O 0.3225 0.7582 0.0819
O 0.3821 0.1036 0.7365
O 0.3821 0.3964 0.2365
O 0.3857 0.1665 0.5067
O 0.3857 0.3335 0.0067
O 0.4211 0.6425 0.2784
O 0.4211 0.8575 0.7784
O 0.4785 0.1019 0.9984
O 0.4785 0.3981 0.4984
O 0.5215 0.6019 0.5016
O 0.5215 0.8981 0.0016
O 0.5789 0.1425 0.2216
O 0.5789 0.3575 0.7216
O 0.6143 0.6665 0.9933
O 0.6143 0.8335 0.4933
O 0.6179 0.6036 0.7635
O 0.6179 0.8964 0.2635
O 0.6775 0.2418 0.9181
O 0.6775 0.2582 0.4181
O 0.8840 0.6561 0.4238
O 0.8840 0.8439 0.9238
F 0.2867 0.0220 0.2731
F 0.2867 0.4780 0.7731
F 0.7133 0.5220 0.2269
F 0.7133 0.9780 0.7269


Corrected total energy (MP2020 scheme) for every record listed, in sequence, given in eV/atom: -5.034 -5.303 -6.008 -5.958 -6.023 -5.917 -5.993 -6.009.